Record 1
UCu2P2 | PBE | optimized geometry

```
data_UCu2P2
_chemical_formula_sum 'U1 Cu2 P2'
_cell_length_a 3.883
_cell_length_b 3.883
_cell_length_c 6.350
_cell_angle_alpha 90.00
_cell_angle_beta 90.00
_cell_angle_gamma 120.00
_space_group_name_H-M_alt 'P 1'
_space_group_IT_number 1
_space_group_name_Hall 'P 1'
loop_
_atom_site_label
_atom_site_fract_x
_atom_site_fract_y
_atom_site_fract_z
_atom_site_occupancy
U1 0.000 0.000 0.000 1
Cu1 0.333 0.667 0.634 1
Cu2 0.667 0.333 0.366 1
P1 0.333 0.667 0.256 1
P2 0.667 0.333 0.744 1
```

=====

Record 2
Er2Ge5Rh3 | PBE | optimized geometry

```
data_Er2Ge5Rh3
_chemical_formula_sum 'Er4 Ge10 Rh6'
_cell_length_a 8.347
_cell_length_b 8.347
_cell_length_c 5.884
_cell_angle_alpha 108.96
_cell_angle_beta 108.96
_cell_angle_gamma 93.61
_space_group_name_H-M_alt 'P 1'
_space_group_IT_number 1
_space_group_name_Hall 'P 1'
loop_
_atom_site_label
_atom_site_fract_x
_atom_site_fract_y
_atom_site_fract_z
_atom_site_occupancy
Er1 0.091 0.369 0.234 1
Er2 0.369 0.091 0.734 1
Er3 0.631 0.909 0.266 1
Er4 0.909 0.631 0.766 1
Ge1 0.011 0.989 0.750 1
Ge2 0.236 0.426 0.832 1
Ge3 0.279 0.721 0.750 1
Ge4 0.292 0.708 0.250 1
Ge5 0.426 0.236 0.332 1
Ge6 0.574 0.764 0.668 1
Ge7 0.708 0.292 0.750 1
Ge8 0.721 0.279 0.250 1
Ge9 0.764 0.574 0.168 1
Ge10 0.989 0.011 0.250 1
Rh1 0.044 0.758 0.379 1
Rh2 0.242 0.956 0.121 1
Rh3 0.499 0.501 0.250 1
Rh4 0.501 0.499 0.750 1
Rh5 0.758 0.044 0.879 1
Rh6 0.956 0.242 0.621 1
```

=====

Record 3
CeH3 | PBE | optimized geometry

Calculated values
ΔE to the lowest computed polymorph in meV per atom: 3.1

```
data_CeH3
_chemical_formula_sum 'Ce1 H3'
_cell_length_a 3.967
_cell_length_b 3.967
_cell_length_c 3.967
_cell_angle_alpha 125.55
_cell_angle_beta 125.55
_cell_angle_gamma 80.64
_space_group_name_H-M_alt 'P 1'
_space_group_IT_number 1
_space_group_name_Hall 'P 1'
loop_
_atom_site_label
_atom_site_fract_x
_atom_site_fract_y
_atom_site_fract_z
_atom_site_occupancy
Ce1 0.000 0.000 0.000 1
H1 0.250 0.750 0.500 1
H2 0.500 0.500 0.000 1
H3 0.750 0.250 0.500 1
```

=====

Record 4
AgTe3 | PBE | optimized geometry

```
data_AgTe3
_chemical_formula_sum 'Ag1 Te3'
_cell_length_a 3.136
_cell_length_b 3.136
_cell_length_c 12.682
_cell_angle_alpha 90.00
_cell_angle_beta 90.00
_cell_angle_gamma 90.00
_space_group_name_H-M_alt 'P 1'
_space_group_IT_number 1
_space_group_name_Hall 'P 1'
loop_
_atom_site_label
_atom_site_fract_x
_atom_site_fract_y
_atom_site_fract_z
_atom_site_occupancy
Ag1 0.000 0.000 0.000 1
Te1 0.000 0.000 0.214 1
Te2 0.000 0.000 0.500 1
Te3 0.000 0.000 0.786 1
```

=====

Record 5
CsO2 | PBE | optimized geometry

Calculated values
ΔE to the lowest computed polymorph in meV per atom: 59.2

```
data_CsO2
_chemical_formula_sum 'Cs1 O2'
_cell_length_a 4.064
_cell_length_b 4.064
_cell_length_c 4.149
_cell_angle_alpha 90.00
_cell_angle_beta 90.00
_cell_angle_gamma 113.76
_space_group_name_H-M_alt 'P 1'
_space_group_IT_number 1
_space_group_name_Hall 'P 1'
loop_
_atom_site_label
_atom_site_fract_x
_atom_site_fract_y
_atom_site_fract_z
_atom_site_occupancy
Cs1 0.000 0.000 0.000 1
O1 0.400 0.600 0.500 1
O2 0.600 0.400 0.500 1
```

=====

Record 6
BaNa3P2O8 | PBE | optimized geometry

```
data_BaNa3P2O8
_chemical_formula_sum 'Ba1 Na3 P2 O8'
_cell_length_a 5.623
_cell_length_b 5.623
_cell_length_c 7.138
_cell_angle_alpha 90.00
_cell_angle_beta 90.00
_cell_angle_gamma 120.00
_space_group_name_H-M_alt 'P 1'
_space_group_IT_number 1
_space_group_name_Hall 'P 1'
loop_
_atom_site_label
_atom_site_fract_x
_atom_site_fract_y
_atom_site_fract_z
_atom_site_occupancy
Ba1 0.000 0.000 0.000 1
Na1 0.000 0.000 0.500 1
Na2 0.333 0.667 0.669 1
Na3 0.667 0.333 0.331 1
P1 0.333 0.667 0.221 1
P2 0.667 0.333 0.779 1
O1 0.184 0.368 0.298 1
O2 0.184 0.816 0.298 1
O3 0.333 0.667 0.004 1
O4 0.368 0.184 0.702 1
O5 0.632 0.816 0.298 1
O6 0.667 0.333 0.996 1
O7 0.816 0.184 0.702 1
O8 0.816 0.632 0.702 1
```

=====

Record 7
Al2GaN3 | PBE | optimized geometry

```
data_Al2GaN3
_chemical_formula_sum 'Al4 Ga2 N6'
_cell_length_a 5.994
_cell_length_b 5.994
_cell_length_c 7.471
_cell_angle_alpha 104.29
_cell_angle_beta 104.29
_cell_angle_gamma 30.51
_space_group_name_H-M_alt 'P 1'
_space_group_IT_number 1
_space_group_name_Hall 'P 1'
loop_
_atom_site_label
_atom_site_fract_x
_atom_site_fract_y
_atom_site_fract_z
_atom_site_occupancy
Al1 0.000 0.000 0.000 1
Al2 0.055 0.055 0.612 1
Al3 0.334 0.334 0.668 1
Al4 0.666 0.666 0.336 1
Ga1 0.389 0.389 0.281 1
Ga2 0.721 0.721 0.945 1
N1 0.206 0.206 0.787 1
N2 0.259 0.259 0.408 1
N3 0.543 0.543 0.466 1
N4 0.592 0.592 0.076 1
N5 0.876 0.876 0.125 1
N6 0.929 0.929 0.738 1
```

=====

Record 8
TbGa3Os | PBE | optimized geometry

```
data_TbGa3Os
_chemical_formula_sum 'Tb3 Ga9 Os3'
_cell_length_a 6.450
_cell_length_b 6.450
_cell_length_c 6.450
_cell_angle_alpha 90.00
_cell_angle_beta 90.00
_cell_angle_gamma 90.00
_space_group_name_H-M_alt 'P 1'
_space_group_IT_number 1
_space_group_name_Hall 'P 1'
loop_
_atom_site_label
_atom_site_fract_x
_atom_site_fract_y
_atom_site_fract_z
_atom_site_occupancy
Tb1 0.000 0.000 0.500 1
Tb2 0.000 0.500 0.000 1
Tb3 0.500 0.000 0.000 1
Ga1 0.000 0.000 0.000 1
Ga2 0.290 0.290 0.290 1
Ga3 0.290 0.290 0.710 1
Ga4 0.290 0.710 0.290 1
Ga5 0.290 0.710 0.710 1
Ga6 0.710 0.290 0.290 1
Ga7 0.710 0.290 0.710 1
Ga8 0.710 0.710 0.290 1
Ga9 0.710 0.710 0.710 1
Os1 0.000 0.500 0.500 1
Os2 0.500 0.000 0.500 1
Os3 0.500 0.500 0.000 1
```

=====

Record 9
CaHf3SiS5O24 | PBE | optimized geometry

```
data_CaHf3SiS5O24
_chemical_formula_sum 'Ca3 Hf9 Si3 S15 O72'
_cell_length_a 9.021
_cell_length_b 9.023
_cell_length_c 23.225
_cell_angle_alpha 89.67
_cell_angle_beta 89.80
_cell_angle_gamma 60.04
_space_group_name_H-M_alt 'P 1'
_space_group_IT_number 1
_space_group_name_Hall 'P 1'
loop_
_atom_site_label
_atom_site_fract_x
_atom_site_fract_y
_atom_site_fract_z
_atom_site_occupancy
Ca1 0.000 0.000 0.000 1
Ca2 0.008 0.996 0.504 1
Ca3 0.673 0.664 0.331 1
Hf1 0.000 0.993 0.209 1
Hf2 0.013 0.997 0.717 1
Hf3 0.329 0.338 0.878 1
Hf4 0.333 0.340 0.674 1
Hf5 0.340 0.329 0.381 1
Hf6 0.345 0.324 0.166 1
Hf7 0.673 0.657 0.830 1
Hf8 0.673 0.662 0.546 1
Hf9 0.674 0.670 0.046 1
Si1 0.054 0.329 0.775 1
Si2 0.339 0.618 0.774 1
Si3 0.717 0.993 0.106 1
S1 0.005 0.289 0.108 1
S2 0.005 0.702 0.607 1
S3 0.064 0.617 0.273 1
S4 0.301 0.705 0.108 1
S5 0.303 0.996 0.608 1
S6 0.329 0.054 0.273 1
S7 0.390 0.655 0.440 1
S8 0.396 0.950 0.939 1
S9 0.627 0.045 0.774 1
S10 0.627 0.321 0.273 1
S11 0.667 0.384 0.939 1
S12 0.667 0.954 0.440 1
S13 0.712 0.290 0.607 1
S14 0.960 0.656 0.939 1
S15 0.965 0.379 0.440 1
O1 0.029 0.165 0.761 1
O2 0.039 0.771 0.555 1
O3 0.051 0.183 0.058 1
O4 0.055 0.786 0.266 1
O5 0.129 0.495 0.934 1
O6 0.138 0.369 0.432 1
O7 0.147 0.355 0.719 1
O8 0.148 0.321 0.123 1
O9 0.150 0.510 0.222 1
O10 0.153 0.528 0.618 1
O11 0.169 0.801 0.760 1
O12 0.172 0.532 0.326 1
O13 0.174 0.041 0.265 1
O14 0.179 0.292 0.831 1
O15 0.197 0.772 0.057 1
O16 0.201 0.030 0.556 1
O17 0.218 0.819 0.160 1
O18 0.219 0.797 0.450 1
O19 0.222 0.962 0.658 1
O20 0.229 0.968 0.946 1
O21 0.307 0.161 0.326 1
O22 0.311 0.524 0.830 1
O23 0.322 0.534 0.123 1
O24 0.336 0.138 0.620 1
O25 0.350 0.143 0.223 1
O26 0.375 0.496 0.718 1
O27 0.379 0.493 0.432 1
O28 0.389 0.117 0.933 1
O29 0.466 0.682 0.389 1
O30 0.474 0.683 0.101 1
O31 0.477 0.836 0.598 1
O32 0.481 0.887 0.279 1
O33 0.485 0.843 0.888 1
O34 0.500 0.646 0.785 1
O35 0.503 0.626 0.492 1
O36 0.503 0.862 0.992 1
O37 0.505 0.127 0.432 1
O38 0.512 0.367 0.932 1
O39 0.517 0.344 0.222 1
O40 0.519 0.121 0.722 1
O41 0.527 0.152 0.124 1
O42 0.540 0.315 0.618 1
O43 0.545 0.295 0.325 1
O44 0.552 0.153 0.825 1
O45 0.638 0.870 0.492 1
O46 0.642 0.490 0.992 1
O47 0.645 0.471 0.278 1
O48 0.648 0.874 0.784 1
O49 0.683 0.477 0.888 1
O50 0.692 0.853 0.389 1
O51 0.694 0.466 0.597 1
O52 0.696 0.823 0.097 1
O53 0.783 0.190 0.555 1
O54 0.790 0.039 0.052 1
O55 0.798 0.026 0.763 1
O56 0.798 0.165 0.265 1
O57 0.808 0.984 0.450 1
O58 0.821 0.219 0.943 1
O59 0.825 0.211 0.658 1
O60 0.842 0.963 0.164 1
O61 0.849 0.458 0.100 1
O62 0.849 0.682 0.597 1
O63 0.852 0.677 0.889 1
O64 0.864 0.456 0.389 1
O65 0.870 0.498 0.786 1
O66 0.877 0.631 0.992 1
O67 0.881 0.491 0.492 1
O68 0.895 0.639 0.279 1
O69 0.971 0.814 0.658 1
O70 0.979 0.203 0.160 1
O71 0.983 0.802 0.945 1
O72 0.995 0.208 0.450 1
```

=====

Record 10
Rb2NaSbBr6 | PBE | optimized geometry

```
data_Rb2NaSbBr6
_chemical_formula_sum 'Rb2 Na1 Sb1 Br6'
_cell_length_a 8.105
_cell_length_b 8.105
_cell_length_c 8.105
_cell_angle_alpha 60.00
_cell_angle_beta 60.00
_cell_angle_gamma 60.00
_space_group_name_H-M_alt 'P 1'
_space_group_IT_number 1
_space_group_name_Hall 'P 1'
loop_
_atom_site_label
_atom_site_fract_x
_atom_site_fract_y
_atom_site_fract_z
_atom_site_occupancy
Rb1 0.250 0.250 0.250 1
Rb2 0.750 0.750 0.750 1
Na1 0.000 0.000 0.000 1
Sb1 0.500 0.500 0.500 1
Br1 0.255 0.255 0.745 1
Br2 0.255 0.745 0.255 1
Br3 0.255 0.745 0.745 1
Br4 0.745 0.255 0.255 1
Br5 0.745 0.255 0.745 1
Br6 0.745 0.745 0.255 1
```

=====

Record 11
K2TaNbO6 | PBE | optimized geometry

```
data_K2TaNbO6
_chemical_formula_sum 'K2 Ta1 Nb1 O6'
_cell_length_a 5.720
_cell_length_b 5.720
_cell_length_c 5.720
_cell_angle_alpha 60.00
_cell_angle_beta 60.00
_cell_angle_gamma 60.00
_space_group_name_H-M_alt 'P 1'
_space_group_IT_number 1
_space_group_name_Hall 'P 1'
loop_
_atom_site_label
_atom_site_fract_x
_atom_site_fract_y
_atom_site_fract_z
_atom_site_occupancy
K1 0.250 0.250 0.250 1
K2 0.750 0.750 0.750 1
Ta1 0.000 0.000 0.000 1
Nb1 0.500 0.500 0.500 1
O1 0.249 0.249 0.751 1
O2 0.249 0.751 0.249 1
O3 0.249 0.751 0.751 1
O4 0.751 0.249 0.249 1
O5 0.751 0.249 0.751 1
O6 0.751 0.751 0.249 1
```

=====

Record 12
Cs2NaPrF6 | PBE | optimized geometry

```
data_Cs2NaPrF6
_chemical_formula_sum 'Cs2 Na1 Pr1 F6'
_cell_length_a 6.639
_cell_length_b 6.639
_cell_length_c 6.639
_cell_angle_alpha 60.00
_cell_angle_beta 60.00
_cell_angle_gamma 60.00
_space_group_name_H-M_alt 'P 1'
_space_group_IT_number 1
_space_group_name_Hall 'P 1'
loop_
_atom_site_label
_atom_site_fract_x
_atom_site_fract_y
_atom_site_fract_z
_atom_site_occupancy
Cs1 0.250 0.250 0.250 1
Cs2 0.750 0.750 0.750 1
Na1 0.000 0.000 0.000 1
Pr1 0.500 0.500 0.500 1
F1 0.254 0.254 0.746 1
F2 0.254 0.746 0.254 1
F3 0.254 0.746 0.746 1
F4 0.746 0.254 0.254 1
F5 0.746 0.254 0.746 1
F6 0.746 0.746 0.254 1
```

=====

Record 13
Pb12BrCl7O8 | PBE | optimized geometry

```
data_Pb12BrCl7O8
_chemical_formula_sum 'Pb12 Br1 Cl7 O8'
_cell_length_a 9.796
_cell_length_b 5.939
_cell_length_c 12.098
_cell_angle_alpha 90.00
_cell_angle_beta 90.10
_cell_angle_gamma 90.00
_space_group_name_H-M_alt 'P 1'
_space_group_IT_number 1
_space_group_name_Hall 'P 1'
loop_
_atom_site_label
_atom_site_fract_x
_atom_site_fract_y
_atom_site_fract_z
_atom_site_occupancy
Pb1 0.000 0.000 0.000 1
Pb2 0.048 0.000 0.298 1
Pb3 0.208 0.500 0.138 1
Pb4 0.261 0.500 0.435 1
Pb5 0.334 0.000 0.780 1
Pb6 0.420 0.000 0.282 1
Pb7 0.494 0.500 0.934 1
Pb8 0.547 0.500 0.637 1
Pb9 0.707 0.000 0.798 1
Pb10 0.761 0.000 0.501 1
Pb11 0.836 0.500 0.157 1
Pb12 0.920 0.500 0.656 1
Br1 0.700 0.000 0.086 1
Cl1 0.044 0.000 0.583 1
Cl2 0.210 0.500 0.853 1
Cl3 0.317 0.000 0.027 1
Cl4 0.435 0.000 0.528 1
Cl5 0.544 0.500 0.353 1
Cl6 0.819 0.500 0.908 1
Cl7 0.936 0.500 0.409 1
O1 0.016 0.254 0.137 1
O2 0.016 0.746 0.137 1
O3 0.239 0.245 0.298 1
O4 0.239 0.755 0.298 1
O5 0.515 0.245 0.797 1
O6 0.515 0.755 0.797 1
O7 0.740 0.255 0.638 1
O8 0.740 0.745 0.638 1
```

=====

Record 14
U2Te2PO | PBE | optimized geometry

```
data_U2Te2PO
_chemical_formula_sum 'U4 Te4 P2 O2'
_cell_length_a 19.293
_cell_length_b 19.293
_cell_length_c 3.910
_cell_angle_alpha 95.80
_cell_angle_beta 95.80
_cell_angle_gamma 163.51
_space_group_name_H-M_alt 'P 1'
_space_group_IT_number 1
_space_group_name_Hall 'P 1'
loop_
_atom_site_label
_atom_site_fract_x
_atom_site_fract_y
_atom_site_fract_z
_atom_site_occupancy
U1 0.050 0.950 0.000 1
U2 0.179 0.614 0.923 1
U3 0.614 0.179 0.923 1
U4 0.950 0.050 0.000 1
Te1 0.074 0.726 0.926 1
Te2 0.411 0.586 0.999 1
Te3 0.586 0.411 0.999 1
Te4 0.726 0.074 0.926 1
P1 0.007 0.007 0.508 1
P2 0.502 0.502 0.500 1
O1 0.146 0.646 0.423 1
O2 0.646 0.146 0.423 1
```

=====

Record 15
Sr3Re2N4 | PBE | optimized geometry

Calculated values
ΔE to the lowest computed polymorph in meV per atom: 0.0

```
data_Sr3Re2N4
_chemical_formula_sum 'Sr12 Re8 N16'
_cell_length_a 6.074
_cell_length_b 10.176
_cell_length_c 9.859
_cell_angle_alpha 90.00
_cell_angle_beta 90.00
_cell_angle_gamma 90.00
_space_group_name_H-M_alt 'P 1'
_space_group_IT_number 1
_space_group_name_Hall 'P 1'
loop_
_atom_site_label
_atom_site_fract_x
_atom_site_fract_y
_atom_site_fract_z
_atom_site_occupancy
Sr1 0.123 0.161 0.083 1
Sr2 0.123 0.339 0.417 1
Sr3 0.250 0.000 0.404 1
Sr4 0.250 0.500 0.096 1
Sr5 0.377 0.661 0.417 1
Sr6 0.377 0.839 0.083 1
Sr7 0.623 0.161 0.917 1
Sr8 0.623 0.339 0.583 1
Sr9 0.750 0.000 0.596 1
Sr10 0.750 0.500 0.904 1
Sr11 0.877 0.661 0.583 1
Sr12 0.877 0.839 0.917 1
Re1 0.124 0.250 0.750 1
Re2 0.250 0.000 0.738 1
Re3 0.250 0.500 0.762 1
Re4 0.376 0.750 0.750 1
Re5 0.624 0.250 0.250 1
Re6 0.750 0.000 0.262 1
Re7 0.750 0.500 0.238 1
Re8 0.876 0.750 0.250 1
N1 0.010 0.083 0.842 1
N2 0.010 0.417 0.658 1
N3 0.120 0.647 0.861 1
N4 0.120 0.853 0.639 1
N5 0.380 0.147 0.639 1
N6 0.380 0.353 0.861 1
N7 0.490 0.583 0.658 1
N8 0.490 0.917 0.842 1
N9 0.510 0.083 0.158 1
N10 0.510 0.417 0.342 1
N11 0.620 0.647 0.139 1
N12 0.620 0.853 0.361 1
N13 0.880 0.147 0.361 1
N14 0.880 0.353 0.139 1
N15 0.990 0.583 0.342 1
N16 0.990 0.917 0.158 1
```

=====

Record 16
KHO | PBE | optimized geometry

Calculated values
Largest piezoelectric modulus in C/m2: 0.4

```
data_KHO
_chemical_formula_sum 'K2 H2 O2'
_cell_length_a 5.806
_cell_length_b 5.806
_cell_length_c 3.937
_cell_angle_alpha 90.00
_cell_angle_beta 90.00
_cell_angle_gamma 139.56
_space_group_name_H-M_alt 'P 1'
_space_group_IT_number 1
_space_group_name_Hall 'P 1'
loop_
_atom_site_label
_atom_site_fract_x
_atom_site_fract_y
_atom_site_fract_z
_atom_site_occupancy
K1 0.143 0.857 0.500 1
K2 0.857 0.143 0.000 1
H1 0.461 0.539 0.636 1
H2 0.539 0.461 0.136 1
O1 0.390 0.610 0.481 1
O2 0.610 0.390 0.981 1
```

=====

Number 1: formation enthalpy at 0 K -0.55 eV per atom. Number 2: formation enthalpy at 0 K -0.76 eV per atom. Number 3: formation enthalpy at 0 K -0.60 eV per atom. Number 4: formation enthalpy at 0 K -0.26 eV per atom. Number 5: formation enthalpy at 0 K -0.92 eV per atom. Number 6: formation enthalpy at 0 K -2.68 eV per atom. Number 7: formation enthalpy at 0 K -1.27 eV per atom. Number 8: formation enthalpy at 0 K -0.49 eV per atom. Number 9: formation enthalpy at 0 K -2.69 eV per atom. Number 10: formation enthalpy at 0 K -1.60 eV per atom. Number 11: formation enthalpy at 0 K -2.96 eV per atom. Number 12: formation enthalpy at 0 K -3.52 eV per atom. Number 13: formation enthalpy at 0 K -1.38 eV per atom. Number 14: formation enthalpy at 0 K -1.50 eV per atom. Number 15: formation enthalpy at 0 K -0.57 eV per atom. Number 16: formation enthalpy at 0 K -1.55 eV per atom.